a) This record from the Materials Project database describes crystalline Li9Mn15O32 at its relaxed geometry. The functional is GGA+U.

Geometry as POSCAR:
```
Li9Mn15O32
1.0
5.871 0.000 0.000
0.010 8.438 0.000
0.151 0.005 11.792
Li Mn O
9 15 32
Direct
0.000 0.000 0.000
0.000 0.247 0.243
0.497 0.737 0.989
0.498 0.487 0.741
0.503 0.745 0.496
0.744 0.367 0.497
0.980 0.993 0.498
0.983 0.247 0.737
0.996 0.624 0.116
0.000 0.616 0.869
0.239 0.369 0.494
0.239 0.868 0.742
0.243 0.869 0.245
0.245 0.378 0.993
0.479 0.122 0.616
0.490 0.127 0.866
0.493 0.117 0.372
0.493 0.499 0.250
0.502 0.119 0.119
0.738 0.867 0.743
0.749 0.868 0.247
0.753 0.376 0.994
0.996 0.612 0.619
0.996 0.619 0.374
0.000 0.847 0.859
0.003 0.382 0.881
0.009 0.390 0.608
0.015 0.396 0.376
0.224 0.635 0.741
0.224 0.644 0.255
0.227 0.601 0.981
0.227 0.602 0.495
0.241 0.095 0.734
0.258 0.135 0.491
0.275 0.102 0.244
0.277 0.141 0.995
0.466 0.344 0.608
0.477 0.885 0.629
0.483 0.344 0.378
0.487 0.883 0.851
0.490 0.884 0.358
0.496 0.381 0.101
0.501 0.361 0.884
0.501 0.861 0.140
0.696 0.115 0.494
0.697 0.121 0.736
0.720 0.102 0.249
0.733 0.144 0.002
0.767 0.641 0.260
0.769 0.601 0.981
0.783 0.614 0.743
0.786 0.621 0.499
0.992 0.850 0.634
0.995 0.859 0.358
0.996 0.870 0.142
0.998 0.377 0.099
```

Its volume is 10.43 A^3/atom. The calculation puts the size of the total moment at 0.89 μB/atom.


b) This record from the Materials Project database describes crystalline Li9Mn15O32 at its relaxed geometry. The functional is GGA+U.

Geometry as POSCAR:
```
Li9Mn15O32
1.0
5.814 -5.787 0.000
5.814 5.787 0.000
-5.755 0.000 8.215
Li Mn O
9 15 32
Direct
0.000 0.000 0.000
0.063 0.063 0.373
0.182 0.690 0.122
0.310 0.818 0.878
0.434 0.434 0.623
0.566 0.566 0.377
0.690 0.182 0.122
0.818 0.310 0.878
0.937 0.937 0.627
0.000 0.500 0.500
0.124 0.375 0.750
0.127 0.373 0.250
0.248 0.752 0.500
0.250 0.250 0.003
0.373 0.127 0.250
0.375 0.124 0.750
0.500 0.000 0.500
0.500 0.500 0.000
0.625 0.876 0.250
0.627 0.873 0.750
0.750 0.750 0.997
0.752 0.248 0.500
0.873 0.627 0.750
0.876 0.625 0.250
0.005 0.730 0.486
0.031 0.264 0.023
0.102 0.606 0.736
0.120 0.622 0.266
0.146 0.146 0.767
0.147 0.147 0.254
0.230 0.511 0.490
0.259 0.481 0.986
0.264 0.031 0.023
0.270 0.995 0.514
0.360 0.360 0.241
0.368 0.368 0.763
0.378 0.880 0.734
0.394 0.898 0.264
0.481 0.259 0.986
0.489 0.770 0.510
0.511 0.230 0.490
0.519 0.741 0.014
0.606 0.102 0.736
0.622 0.120 0.266
0.632 0.632 0.237
0.640 0.640 0.759
0.730 0.005 0.486
0.736 0.969 0.977
0.741 0.519 0.014
0.770 0.489 0.510
0.853 0.853 0.746
0.854 0.854 0.233
0.880 0.378 0.734
0.898 0.394 0.264
0.969 0.736 0.977
0.995 0.270 0.514
```

Its volume is 9.87 A^3/atom. The calculation puts the size of the total moment at 0.89 μB/atom.


Consider the structures shown above. The most stable of them is a).